Entry from the Materials Project: a geometry-optimized Ba4GeN4 structure (PBE-GGA).

Structure (CIF):
```
data_Ba4GeN4
_cell_length_a 12.8600
_cell_length_b 4.0230
_cell_length_c 17.1842
_cell_angle_alpha 90.00
_cell_angle_beta 90.00
_cell_angle_gamma 90.00
_space_group_name_H-M_alt 'P n m a'
_space_group_IT_number 62
loop_
_space_group_symop_operation_xyz
'x,y,z'
'-x,-y,-z'
'-x+1/2,-y,z+1/2'
'x+1/2,y,-z+1/2'
'x+1/2,-y+1/2,-z+1/2'
'-x+1/2,y+1/2,z+1/2'
'-x,y+1/2,-z'
'x,-y+1/2,z'
loop_
_atom_site_label
_atom_site_fract_x
_atom_site_fract_y
_atom_site_fract_z
Ba1 0.1149 0.2500 0.1235
Ba2 0.1253 0.2500 0.5378
Ba3 0.1283 0.7500 0.3373
Ba4 0.1322 0.7500 0.7339
Ge1 0.1199 0.2500 0.9273
N1 0.0051 0.2500 0.3865
N2 0.0545 0.2500 0.8385
N3 0.2278 0.7500 0.1911
N4 0.2374 0.2500 0.9788
```

## Properties
- ρ (g/cm³) = 5.065
- calculated formation energy (eV/f.u.) = -3.75

=====

Entry from the Materials Project: a geometry-optimized Sm5Ga3 structure (PBE-GGA).

Structure (CIF):
```
data_Sm5Ga3
_cell_length_a 7.7716
_cell_length_b 7.7716
_cell_length_c 14.5565
_cell_angle_alpha 90.00
_cell_angle_beta 90.00
_cell_angle_gamma 90.00
_space_group_name_H-M_alt 'P 4/n c c'
_space_group_IT_number 130
loop_
_space_group_symop_operation_xyz
'x,y,z'
'-x,-y,-z'
'-y+1/2,x,z'
'y+1/2,-x,-z'
'-x+1/2,-y+1/2,z'
'x+1/2,y+1/2,-z'
'y,-x+1/2,z'
'-y,x+1/2,-z'
'x+1/2,-y,-z+1/2'
'-x+1/2,y,z+1/2'
'-y,-x,-z+1/2'
'y,x,z+1/2'
'-x,y+1/2,-z+1/2'
'x,-y+1/2,z+1/2'
'y+1/2,x+1/2,-z+1/2'
'-y+1/2,-x+1/2,z+1/2'
loop_
_atom_site_label
_atom_site_fract_x
_atom_site_fract_y
_atom_site_fract_z
Sm1 0.0643 0.5939 0.1034
Sm2 0.2500 0.2500 0.2211
Ga1 0.1294 0.6294 0.7500
Ga2 0.2500 0.2500 0.0074
```

## Properties
- ρ (g/cm³) = 7.260
- calculated formation energy (eV/f.u.) = -3.70

=====

Entry from the Materials Project: a geometry-optimized Ca3GdAl8 structure (PBE-GGA).

Structure (CIF):
```
data_Ca3GdAl8
_cell_length_a 5.6749
_cell_length_b 5.6749
_cell_length_c 27.5519
_cell_angle_alpha 90.00
_cell_angle_beta 90.00
_cell_angle_gamma 120.00
_space_group_name_H-M_alt 'R 3 m'
_space_group_IT_number 160
_space_group_name_Hall 'R 3 -2"'
loop_
_atom_site_label
_atom_site_fract_x
_atom_site_fract_y
_atom_site_fract_z
Ca1 0.0000 0.0000 0.0000
Ca2 0.0000 0.0000 0.1250
Ca3 0.0000 0.0000 0.5001
Gd1 0.0000 0.0000 0.6250
Al1 0.0000 0.0000 0.3124
Al2 0.0000 0.0000 0.8125
Al3 0.0002 0.5001 0.5627
Al4 0.1670 0.3340 0.3956
```

## Properties
- ρ (g/cm³) = 3.198
- calculated formation energy (eV/f.u.) = -4.54

=====

Entry from the Materials Project: a geometry-optimized Ga8Cu3Mo2 structure (PBE-GGA).

Structure (CIF):
```
data_Ga8Cu3Mo2
_cell_length_a 12.0147
_cell_length_b 12.0147
_cell_length_c 12.0147
_cell_angle_alpha 90.00
_cell_angle_beta 90.00
_cell_angle_gamma 90.00
_space_group_name_H-M_alt 'I -4 3 d'
_space_group_IT_number 220
_space_group_name_Hall 'I -4bd 2c 3'
loop_
_atom_site_label
_atom_site_fract_x
_atom_site_fract_y
_atom_site_fract_z
Ga1 0.1065 0.3935 0.6065
Ga2 0.1136 0.3788 0.8788
Cu1 0.0000 0.2500 0.0144
Mo1 0.0196 0.0196 0.0196
```

## Properties
- ρ (g/cm³) = 7.202
- calculated formation energy (eV/f.u.) = -2.44

=====

Entry from the Materials Project: a geometry-optimized TaNiP2 structure (PBE-GGA).

Structure (CIF):
```
data_TaNiP2
_cell_length_a 5.4171
_cell_length_b 3.3478
_cell_length_c 12.1504
_cell_angle_alpha 90.00
_cell_angle_beta 90.00
_cell_angle_gamma 90.00
_space_group_name_H-M_alt 'P n m a'
_space_group_IT_number 62
loop_
_space_group_symop_operation_xyz
'x,y,z'
'-x,-y,-z'
'-x+1/2,-y,z+1/2'
'x+1/2,y,-z+1/2'
'x+1/2,-y+1/2,-z+1/2'
'-x+1/2,y+1/2,z+1/2'
'-x,y+1/2,-z'
'x,-y+1/2,z'
loop_
_atom_site_label
_atom_site_fract_x
_atom_site_fract_y
_atom_site_fract_z
Ta1 0.0153 0.2500 0.1705
Ni1 0.0217 0.2500 0.4148
P1 0.1384 0.2500 0.6905
P2 0.1900 0.2500 0.9644
```

## Properties
- ρ (g/cm³) = 9.091
- calculated formation energy (eV/f.u.) = -2.78

=====

Entry from the Materials Project: a geometry-optimized GaSi2Ni6 structure (PBE-GGA).

Structure (CIF):
```
data_GaSi2Ni6
_cell_length_a 5.0105
_cell_length_b 3.7512
_cell_length_c 21.4906
_cell_angle_alpha 90.00
_cell_angle_beta 90.54
_cell_angle_gamma 90.00
_space_group_name_H-M_alt 'P 1 m 1'
_space_group_IT_number 6
loop_
_space_group_symop_operation_xyz
'x,y,z'
'x,-y,z'
loop_
_atom_site_label
_atom_site_fract_x
_atom_site_fract_y
_atom_site_fract_z
Ga1 0.0000 0.0000 0.0000
Ga2 0.0004 0.0000 0.3324
Ga3 0.0047 0.0000 0.6667
Ga4 0.5049 0.0000 0.5748
Si1 0.4032 0.5000 0.7418
Si2 0.4039 0.5000 0.0741
Si3 0.4045 0.5000 0.4058
Si4 0.4959 0.0000 0.2421
Si5 0.4958 0.0000 0.9100
Si6 0.9023 0.5000 0.5007
Si7 0.9173 0.5000 0.1663
Si8 0.9173 0.5000 0.8338
Ni1 0.0320 0.0000 0.5544
Ni2 0.0413 0.0000 0.2218
Ni3 0.0417 0.0000 0.8897
Ni4 0.1625 0.0000 0.4406
Ni5 0.1632 0.0000 0.7761
Ni6 0.1645 0.0000 0.1083
Ni7 0.2638 0.5000 0.2977
Ni8 0.2649 0.5000 0.9657
Ni9 0.2711 0.5000 0.6332
Ni10 0.3647 0.5000 0.5121
Ni11 0.3770 0.5000 0.8500
Ni12 0.3782 0.5000 0.1821
Ni13 0.5279 0.0000 0.0185
Ni14 0.5286 0.0000 0.3499
Ni15 0.5321 0.0000 0.6882
Ni16 0.6619 0.0000 0.8049
Ni17 0.6625 0.0000 0.1362
Ni18 0.6628 0.0000 0.4647
Ni19 0.7535 0.5000 0.2699
Ni20 0.7537 0.5000 0.9376
Ni21 0.7696 0.5000 0.6085
Ni22 0.8612 0.5000 0.0612
Ni23 0.8617 0.5000 0.7292
Ni24 0.8642 0.5000 0.3937
```

## Properties
- ρ (g/cm³) = 7.861
- calculated formation energy (eV/f.u.) = -4.41

=====

Entry from the Materials Project: a geometry-optimized La15Ge9P structure (PBE-GGA).

Structure (CIF):
```
data_La15Ge9P
_cell_length_a 15.7436
_cell_length_b 15.7436
_cell_length_c 6.9781
_cell_angle_alpha 90.00
_cell_angle_beta 90.00
_cell_angle_gamma 120.00
_space_group_name_H-M_alt 'P 63 m c'
_space_group_IT_number 186
_space_group_name_Hall 'P 6c -2c'
loop_
_atom_site_label
_atom_site_fract_x
_atom_site_fract_y
_atom_site_fract_z
La1 0.0171 0.3410 0.0000
La2 0.0822 0.1645 0.2749
La3 0.1629 0.5815 0.2502
La4 0.2488 0.4977 0.7232
Ge1 0.0682 0.5341 0.7375
Ge2 0.1302 0.2604 0.7227
Ge3 0.1991 0.3983 0.2838
P1 0.3333 0.6667 0.4881
```

## Properties
- ρ (g/cm³) = 6.138
- calculated formation energy (eV/f.u.) = -19.61

=====

Entry from the Materials Project: a geometry-optimized PmBiRh2 structure (PBE-GGA).

Structure (CIF):
```
data_PmBiRh2
_cell_length_a 6.8891
_cell_length_b 6.8891
_cell_length_c 6.8891
_cell_angle_alpha 90.00
_cell_angle_beta 90.00
_cell_angle_gamma 90.00
_space_group_name_H-M_alt 'F m -3 m'
_space_group_IT_number 225
_space_group_name_Hall '-F 4 2 3'
loop_
_atom_site_label
_atom_site_fract_x
_atom_site_fract_y
_atom_site_fract_z
Pm1 0.0000 0.0000 0.0000
Bi1 0.0000 0.0000 0.5000
Rh1 0.2500 0.2500 0.2500
```

## Properties
- ρ (g/cm³) = 11.372
- calculated formation energy (eV/f.u.) = -1.87

=====

Entry from the Materials Project: a geometry-optimized Eu2ZnSb2 structure (PBE-GGA).

Structure (CIF):
```
data_Eu2ZnSb2
_cell_length_a 4.6752
_cell_length_b 4.6752
_cell_length_c 8.1336
_cell_angle_alpha 90.00
_cell_angle_beta 90.00
_cell_angle_gamma 120.00
_space_group_name_H-M_alt 'P -6 m 2'
_space_group_IT_number 187
_space_group_name_Hall 'P -6 2'
loop_
_atom_site_label
_atom_site_fract_x
_atom_site_fract_y
_atom_site_fract_z
Eu1 0.0000 0.0000 0.2264
Zn1 0.3333 0.6667 0.5000
Sb1 0.3333 0.6667 0.0000
Sb2 0.6667 0.3333 0.5000
```

## Properties
- ρ (g/cm³) = 6.610
- calculated formation energy (eV/f.u.) = -4.16

=====

Entry from the Materials Project: a geometry-optimized SnP3O9 structure (PBE-GGA).

Structure (CIF):
```
data_SnP3O9
_cell_length_a 8.8494
_cell_length_b 8.9494
_cell_length_c 9.0989
_cell_angle_alpha 90.00
_cell_angle_beta 90.00
_cell_angle_gamma 90.00
_space_group_name_H-M_alt 'P 21 21 21'
_space_group_IT_number 19
loop_
_space_group_symop_operation_xyz
'x,y,z'
'-x+1/2,-y,z+1/2'
'x+1/2,-y+1/2,-z'
'-x,y+1/2,-z+1/2'
loop_
_atom_site_label
_atom_site_fract_x
_atom_site_fract_y
_atom_site_fract_z
Sn1 0.1273 0.1434 0.3459
P1 0.0326 0.6753 0.8112
P2 0.1959 0.1944 0.9369
P3 0.1959 0.5181 0.3123
O1 0.0424 0.2167 0.8430
O2 0.0866 0.1188 0.5841
O3 0.1098 0.3929 0.3846
O4 0.1253 0.5958 0.1817
O5 0.1269 0.8067 0.8601
O6 0.1393 0.5384 0.7598
O7 0.1506 0.1592 0.0912
O8 0.1946 0.9049 0.3555
O9 0.2370 0.6374 0.4383
```

## Properties
- ρ (g/cm³) = 3.278
- calculated formation energy (eV/f.u.) = -31.50

=====

Entry from the Materials Project: a geometry-optimized Li6CoCl8 structure (PBE-GGA).

Structure (CIF):
```
data_Li6CoCl8
_cell_length_a 10.2964
_cell_length_b 10.2964
_cell_length_c 10.2964
_cell_angle_alpha 90.00
_cell_angle_beta 90.00
_cell_angle_gamma 90.00
_space_group_name_H-M_alt 'F m -3 m'
_space_group_IT_number 225
_space_group_name_Hall '-F 4 2 3'
loop_
_atom_site_label
_atom_site_fract_x
_atom_site_fract_y
_atom_site_fract_z
Li1 0.0000 0.2500 0.2500
Co1 0.0000 0.0000 0.0000
Cl1 0.0000 0.0000 0.2374
Cl2 0.2500 0.2500 0.2500
```

## Properties
- ρ (g/cm³) = 2.338
- calculated formation energy (eV/f.u.) = -28.13

=====

no.,total DFT energy (no corrections) (eV per atom)
1,-5.327
2,-4.548
3,-4.550
4,-4.666
5,-7.812
6,-5.886
7,-5.627
8,-6.310
9,-6.762
10,-6.930
11,-3.771